A plane-wave DFT calculation with GGA+U was carried out for a relaxed CoSbP2O8 crystal.

Unit cell a=4.9399 b=11.8986 c=11.9599 alpha=65.55 beta=85.33 gamma=85.11
Last column: nearest neighbours and their distance in Å.
Space group P1 (No. 1)
Symmetry-distinct sites (fractional):
Co (0.0000, 0.0000, 0.0000) (multiplicity 1)  4 O 1.95-2.06
Co (0.0249, 0.5464, 0.4483) (multiplicity 1)  4 O 1.98-2.07
Co (0.8171, 0.4892, 0.9478) (multiplicity 1)  4 O 1.97-2.11
Co (0.8474, 0.0302, 0.4038) (multiplicity 1)  4 O 1.95-2.05
Sb (0.3351, 0.2952, 0.2213) (multiplicity 1)  4 O 2.18-2.29
Sb (0.3851, 0.7838, 0.7239) (multiplicity 1)  6 O 1.97-2.10
Sb (0.4590, 0.2413, 0.6837) (multiplicity 1)  6 O 1.97-2.07
Sb (0.5153, 0.7342, 0.1816) (multiplicity 1)  4 O 2.18-2.30
P (0.0039, 0.3367, 0.7722) (multiplicity 1)  4 O 1.50-1.60
P (0.0458, 0.8372, 0.2827) (multiplicity 1)  4 O 1.51-1.60
P (0.2691, 0.6122, 0.0169) (multiplicity 1)  4 O 1.53-1.63
P (0.3003, 0.0739, 0.5446) (multiplicity 1)  4 O 1.51-1.60
P (0.5464, 0.9511, 0.8619) (multiplicity 1)  4 O 1.51-1.60
P (0.5723, 0.4143, 0.3917) (multiplicity 1)  4 O 1.53-1.62
P (0.8053, 0.1929, 0.1211) (multiplicity 1)  4 O 1.52-1.60
P (0.8421, 0.6851, 0.6371) (multiplicity 1)  4 O 1.50-1.61
O (0.0145, 0.4156, 0.8420) (multiplicity 1)  1 P 1.50
O (0.0677, 0.9075, 0.3618) (multiplicity 1)  1 P 1.51
O (0.1049, 0.2032, 0.1391) (multiplicity 1)  1 P 1.53
O (0.1301, 0.4894, 0.0502) (multiplicity 1)  1 P 1.55
O (0.1427, 0.7054, 0.6506) (multiplicity 1)  1 P 1.56
O (0.1484, 0.1229, 0.4249) (multiplicity 1)  1 P 1.54
O (0.1696, 0.6784, 0.1003) (multiplicity 1)  1 P 1.54
O (0.1723, 0.6982, 0.8790) (multiplicity 1)  1 P 1.63
O (0.1751, 0.3893, 0.6430) (multiplicity 1)  1 P 1.60
O (0.1802, 0.2091, 0.8297) (multiplicity 1)  1 P 1.60
O (0.1800, 0.9433, 0.6310) (multiplicity 1)  1 P 1.60
O (0.2122, 0.7065, 0.3361) (multiplicity 1)  1 P 1.60
O (0.2128, 0.8947, 0.1537) (multiplicity 1)  1 P 1.60
O (0.2219, 0.1623, 0.6120) (multiplicity 1)  1 P 1.58
O (0.2409, 0.9602, 0.8813) (multiplicity 1)  1 P 1.51
O (0.2622, 0.4341, 0.3933) (multiplicity 1)  1 P 1.53
O (0.5785, 0.5917, 0.0172) (multiplicity 1)  1 P 1.53
O (0.6059, 0.0630, 0.5258) (multiplicity 1)  1 P 1.51
O (0.6256, 0.8617, 0.7954) (multiplicity 1)  1 P 1.58
O (0.6385, 0.1354, 0.2503) (multiplicity 1)  1 P 1.60
O (0.6403, 0.3243, 0.0689) (multiplicity 1)  1 P 1.60
O (0.6627, 0.8116, 0.5797) (multiplicity 1)  1 P 1.59
O (0.6655, 0.0814, 0.7749) (multiplicity 1)  1 P 1.60
O (0.6712, 0.3274, 0.5282) (multiplicity 1)  1 P 1.62
O (0.6716, 0.3495, 0.3070) (multiplicity 1)  1 P 1.54
O (0.6723, 0.6327, 0.7676) (multiplicity 1)  1 P 1.61
O (0.6997, 0.9037, 0.9814) (multiplicity 1)  1 P 1.54
O (0.7022, 0.3181, 0.7581) (multiplicity 1)  1 P 1.56
O (0.7081, 0.5383, 0.3568) (multiplicity 1)  1 P 1.55
O (0.7473, 0.8244, 0.2648) (multiplicity 1)  1 P 1.54
O (0.7790, 0.1222, 0.0426) (multiplicity 1)  1 P 1.52
O (0.8333, 0.6059, 0.5673) (multiplicity 1)  1 P 1.50

- ΔH_f (0 K) (eV/f.u.) = -26.78
- theoretical density (Mg/m³) = 3.866
- magnetization (Bohr magnetons per cell) = 12.000